1.
Compound: RbFeP2H2O8
Source: the Materials Project database
Functional: PBE+U
Structure: optimized geometry

Values from the calculation:
space-group type: R-3c (167)
final energy: -6.472 eV per atom

abc: 18.4743 18.4743 18.4743
angles: 25.97 25.97 25.97
Closest atoms and distances in Å follow each position.
Atoms (fractional coordinates):
Rb  0.1671  0.1671  0.1671  3 O 3.00, 3 H 3.33
Rb  0.2500  0.2500  0.2500  12 O 3.09-3.33, 6 H 3.31
Rb  0.3329  0.3329  0.3329  3 O 3.00, 3 H 3.33
Rb  0.6671  0.6671  0.6671  3 O 3.00, 3 H 3.33
Rb  0.7500  0.7500  0.7500  12 O 3.09-3.33, 6 H 3.31
Rb  0.8329  0.8329  0.8329  3 O 3.00, 3 H 3.33
Fe  0.0000  0.0000  0.0000  6 O 2.02
Fe  0.0862  0.0862  0.0862  6 O 2.01-2.06
Fe  0.4138  0.4138  0.4138  6 O 2.01-2.06
Fe  0.5000  0.5000  0.5000  6 O 2.02
Fe  0.5862  0.5862  0.5862  6 O 2.01-2.06
Fe  0.9138  0.9138  0.9138  6 O 2.01-2.06
P  0.0986  0.7405  0.2991  4 O 1.52-1.62
P  0.2009  0.7595  0.4014  4 O 1.52-1.62
P  0.2405  0.5986  0.7991  4 O 1.52-1.62
P  0.2595  0.7009  0.9014  4 O 1.52-1.62
P  0.2991  0.0986  0.7405  4 O 1.52-1.62
P  0.4014  0.2009  0.7595  4 O 1.52-1.62
P  0.5986  0.7991  0.2405  4 O 1.52-1.62
P  0.7009  0.9014  0.2595  4 O 1.52-1.62
P  0.7405  0.2991  0.0986  4 O 1.52-1.62
P  0.7595  0.4014  0.2009  4 O 1.52-1.62
P  0.7991  0.2405  0.5986  4 O 1.52-1.62
P  0.9014  0.2595  0.7009  4 O 1.52-1.62
H  0.0142  0.4200  0.9264  1 O 1.02
H  0.0736  0.9858  0.5800  1 O 1.02
H  0.0800  0.4858  0.5736  1 O 1.02
H  0.4200  0.9264  0.0142  1 O 1.02
H  0.4264  0.9200  0.5142  1 O 1.02
H  0.4858  0.5736  0.0800  1 O 1.02
H  0.5142  0.4264  0.9200  1 O 1.02
H  0.5736  0.0800  0.4858  1 O 1.02
H  0.5800  0.0736  0.9858  1 O 1.02
H  0.9200  0.5142  0.4264  1 O 1.02
H  0.9264  0.0142  0.4200  1 O 1.02
H  0.9858  0.5800  0.0736  1 O 1.02
O  0.0040  0.0918  0.7081  1 P 1.54
O  0.0074  0.3851  0.4852  1 H 1.02
O  0.0148  0.1149  0.4926  1 H 1.02
O  0.0889  0.7928  0.1813  1 P 1.52
O  0.0918  0.7081  0.0040  1 P 1.54
O  0.1100  0.8041  0.7543  1 P 1.55, 1 H 1.58
O  0.1149  0.4926  0.0148  1 H 1.02
O  0.1813  0.0889  0.7928  1 P 1.52
O  0.1959  0.2457  0.8900  1 P 1.55, 1 H 1.58
O  0.2072  0.8187  0.9111  1 P 1.52
O  0.2081  0.5918  0.5040  1 P 1.54
O  0.2457  0.8900  0.1959  1 P 1.55, 1 H 1.58
O  0.2543  0.3041  0.6100  1 P 1.55, 1 H 1.58
O  0.2919  0.9960  0.9082  1 P 1.54
O  0.2928  0.5889  0.6813  1 P 1.52
O  0.3041  0.6100  0.2543  1 P 1.55, 1 H 1.58
O  0.3187  0.7072  0.4111  1 P 1.52
O  0.3851  0.4852  0.0074  1 H 1.02
O  0.3900  0.7457  0.6959  1 P 1.55, 1 H 1.58
O  0.4082  0.4960  0.7919  1 P 1.54
O  0.4111  0.3187  0.7072  1 P 1.52
O  0.4852  0.0074  0.3851  1 H 1.02
O  0.4926  0.0148  0.1149  1 H 1.02
O  0.4960  0.7919  0.4082  1 P 1.54
O  0.5040  0.2081  0.5918  1 P 1.54
O  0.5074  0.9852  0.8851  1 H 1.02
O  0.5148  0.9926  0.6149  1 H 1.02
O  0.5889  0.6813  0.2928  1 P 1.52
O  0.5918  0.5040  0.2081  1 P 1.54
O  0.6100  0.2543  0.3041  1 P 1.55, 1 H 1.58
O  0.6149  0.5148  0.9926  1 H 1.02
O  0.6813  0.2928  0.5889  1 P 1.52
O  0.6959  0.3900  0.7457  1 P 1.55, 1 H 1.58
O  0.7072  0.4111  0.3187  1 P 1.52
O  0.7081  0.0040  0.0918  1 P 1.54
O  0.7457  0.6959  0.3900  1 P 1.55, 1 H 1.58
O  0.7543  0.1100  0.8041  1 P 1.55, 1 H 1.58
O  0.7919  0.4082  0.4960  1 P 1.54
O  0.7928  0.1813  0.0889  1 P 1.52
O  0.8041  0.7543  0.1100  1 P 1.55, 1 H 1.58
O  0.8187  0.9111  0.2072  1 P 1.52
O  0.8851  0.5074  0.9852  1 H 1.02
O  0.8900  0.1959  0.2457  1 P 1.55, 1 H 1.58
O  0.9082  0.2919  0.9960  1 P 1.54
O  0.9111  0.2072  0.8187  1 P 1.52
O  0.9852  0.8851  0.5074  1 H 1.02
O  0.9926  0.6149  0.5148  1 H 1.02
O  0.9960  0.9082  0.2919  1 P 1.54



2.
Compound: MgTl4Ni4O12
Source: the Materials Project database
Functional: PBE+U
Structure: optimized geometry

Values from the calculation:
space-group type: P1 (1)
offset from the most stable computed form: 22 meV per atom
final energy: -4.655 eV per atom

abc: 5.3629 5.6318 8.5674
angles: 84.17 85.69 86.53
Closest atoms and distances in Å follow each position.
Atoms (fractional coordinates):
Mg  0.0000  0.0000  0.0000  4 O 1.96-2.03
Tl  0.0644  0.8417  0.3654  6 O 2.22-2.41
Tl  0.0710  0.6451  0.7931  5 O 2.21-2.47
Tl  0.5370  0.2102  0.8395  4 O 2.19-2.34
Tl  0.6205  0.3365  0.3731  4 O 2.23-2.29
Ni  0.0830  0.2435  0.5975  6 O 2.02-2.26
Ni  0.1351  0.3438  0.1508  5 O 1.88-2.05
Ni  0.5642  0.7679  0.1174  5 O 2.02-2.12
Ni  0.5749  0.7664  0.5869  5 O 1.95-2.16
O  0.2285  0.2262  0.3742  2 Ni 2.02-2.05, 1 Tl 2.23
O  0.2975  0.9538  0.6829  2 Ni 1.95-2.04
O  0.3301  0.0666  0.0631  1 Mg 1.96, 2 Ni 2.00-2.07
O  0.3429  0.5471  0.0193  2 Ni 1.88-2.05
O  0.3952  0.4657  0.6526  1 Ni 2.01, 1 Tl 2.19
O  0.4662  0.7222  0.3540  2 Ni 2.05-2.16, 2 Tl 2.22-2.27
O  0.7419  0.8389  0.9030  1 Mg 1.98, 1 Ni 2.02
O  0.7819  0.0484  0.5442  2 Ni 1.98-2.11
O  0.8574  0.1244  0.1958  1 Mg 1.97, 1 Ni 1.98
O  0.8847  0.5705  0.5487  2 Ni 1.96-2.09
O  0.9063  0.6030  0.1924  2 Ni 1.89-2.12
O  0.9509  0.2742  0.8299  1 Mg 2.03, 1 Ni 2.08, 2 Tl 2.21-2.26



3.
Compound: BaCr4O8
Source: the Materials Project database
Functional: PBE+U
Structure: optimized geometry

Values from the calculation:
space-group type: P-31m (162)
final energy: -7.139 eV per atom

abc: 5.6175 5.6175 7.9440
angles: 90.00 90.00 120.00
Closest atoms and distances in Å follow each position.
Atoms (fractional coordinates):
Ba  0.0000  0.0000  0.0000  12 O 3.05-3.24
Cr  0.3333  0.6667  0.2333  4 O 1.84-1.85
Cr  0.3333  0.6667  0.7667  4 O 1.84-1.85
Cr  0.6667  0.3333  0.2333  4 O 1.84-1.85
Cr  0.6667  0.3333  0.7667  4 O 1.84-1.85
O  0.0000  0.3638  0.2853  2 Cr 1.84
O  0.0000  0.6362  0.7147  2 Cr 1.84
O  0.3333  0.6667  0.0000  2 Cr 1.85
O  0.3638  0.0000  0.2853  2 Cr 1.84
O  0.3638  0.3638  0.7147  2 Cr 1.84
O  0.6362  0.0000  0.7147  2 Cr 1.84
O  0.6362  0.6362  0.2853  2 Cr 1.84
O  0.6667  0.3333  0.0000  2 Cr 1.85



4.
Compound: AlV2O4
Source: the Materials Project database
Functional: PBE+U
Structure: optimized geometry

Values from the calculation:
space-group type: P-1 (2)
offset from the most stable computed form: 493 meV per atom
final energy: -7.352 eV per atom

abc: 5.3179 5.5239 6.0699
angles: 108.64 111.57 97.98
Closest atoms and distances in Å follow each position.
Atoms (fractional coordinates):
Al  0.1825  0.4431  0.3616  6 O 1.91-2.08
Al  0.8175  0.5569  0.6384  6 O 1.91-2.08
V  0.0000  0.0000  0.5000  4 O 1.91-1.99
V  0.5000  0.0000  0.0000  4 O 1.98-2.11
V  0.5000  0.0000  0.5000  4 O 1.98-2.05
V  0.5000  0.5000  0.0000  4 O 1.97-2.09
O  0.0865  0.9108  0.7932  2 V 1.91-1.98, 1 Al 1.95
O  0.1294  0.3975  0.6648  2 Al 1.96-2.05, 2 V 1.99-2.09
O  0.2978  0.6510  0.1989  1 Al 1.91, 2 V 1.97-1.98
O  0.4678  0.2608  0.3228  2 Al 1.98-2.08, 2 V 2.05-2.11
O  0.5322  0.7392  0.6772  2 Al 1.98-2.08, 2 V 2.05-2.11
O  0.7022  0.3490  0.8011  1 Al 1.91, 2 V 1.97-1.98
O  0.8706  0.6025  0.3352  2 Al 1.96-2.05, 2 V 1.99-2.09
O  0.9135  0.0892  0.2068  2 V 1.91-1.98, 1 Al 1.95



5.
Compound: Ca2TaWO6
Source: the Materials Project database
Functional: PBE+U
Structure: optimized geometry

Values from the calculation:
space-group type: P2_1/m (11)
offset from the most stable computed form: 26 meV per atom
final energy: -8.005 eV per atom

abc: 5.5834 7.9727 5.7601
angles: 90.00 90.39 90.00
Closest atoms and distances in Å follow each position.
Atoms (fractional coordinates):
Ca  0.0086  0.2500  0.4394  4 O 2.34-2.42
Ca  0.4904  0.2500  0.9561  4 O 2.24-2.50
Ca  0.5096  0.7500  0.0439  4 O 2.24-2.50
Ca  0.9914  0.7500  0.5606  4 O 2.34-2.42
Ta  0.5000  0.0000  0.5000  6 O 1.99-2.07
Ta  0.5000  0.5000  0.5000  6 O 1.99-2.07
W  0.0000  0.0000  0.0000  6 O 2.12-2.19
W  0.0000  0.5000  0.0000  6 O 2.12-2.19
O  0.1194  0.7500  0.9482  2 W 2.12, 2 Ca 2.24-2.34
O  0.2093  0.0489  0.6868  1 Ta 1.99, 1 W 2.19
O  0.2093  0.4511  0.6868  1 Ta 1.99, 1 W 2.19
O  0.3146  0.0516  0.2130  1 Ta 1.99, 1 W 2.18
O  0.3146  0.4484  0.2130  1 Ta 1.99, 1 W 2.18
O  0.4072  0.7500  0.4654  2 Ta 2.07
O  0.5928  0.2500  0.5346  2 Ta 2.07
O  0.6854  0.5516  0.7870  1 Ta 1.99, 1 W 2.18
O  0.6854  0.9484  0.7870  1 Ta 1.99, 1 W 2.18
O  0.7907  0.5489  0.3132  1 Ta 1.99, 1 W 2.19
O  0.7907  0.9511  0.3132  1 Ta 1.99, 1 W 2.19
O  0.8806  0.2500  0.0518  2 W 2.12, 2 Ca 2.24-2.34



6.
Compound: LiV2P4H2O16
Source: the Materials Project database
Functional: PBE+U
Structure: optimized geometry

Values from the calculation:
offset from the most stable computed form: 0 meV per atom
largest piezoelectric modulus: 0.96 C/m2
final energy: -6.934 eV per atom

abc: 4.8895 7.9361 14.3317
angles: 89.54 85.06 89.87
Closest atoms and distances in Å follow each position.
Atoms (fractional coordinates):
P  0.7415  0.1545  0.8801  4 O 1.51-1.56
P  0.5117  0.6533  0.3661  4 O 1.53-1.57
P  0.7544  0.8482  0.6160  4 O 1.51-1.59
P  0.2415  0.1545  0.3801  4 O 1.51-1.56
P  0.9918  0.3569  0.1359  4 O 1.49-1.61
P  0.4917  0.3567  0.6358  4 O 1.49-1.61
P  0.2543  0.8482  0.1161  4 O 1.51-1.59
P  0.0118  0.6533  0.8661  4 O 1.53-1.57
O  0.9706  0.5588  0.7759  1 H 1.06
O  0.2422  0.6756  0.4305  1 P 1.55
O  0.7431  0.3292  0.5645  1 P 1.55
O  0.7644  0.4413  0.0816  1 P 1.56
O  0.4706  0.5588  0.2760  1 H 1.07
O  0.8744  0.1723  0.1638  1 P 1.61
O  0.4720  0.9399  0.1743  1 P 1.59
O  0.5112  0.1614  0.3144  1 P 1.55
O  0.9720  0.9398  0.6743  1 P 1.59
O  0.9881  0.8428  0.1843  1 P 1.56
O  0.3590  0.6716  0.0929  1 P 1.52
O  0.5421  0.4439  0.7247  1 H 1.40, 1 P 1.49
O  0.7780  0.0411  0.9676  1 H 1.05
O  0.4880  0.8428  0.6842  1 P 1.56
O  0.1418  0.8297  0.8402  1 P 1.57
O  0.5231  0.0561  0.8297  1 P 1.55
O  0.2259  0.5602  0.9220  1 P 1.55
O  0.3742  0.1722  0.6637  1 P 1.61
O  0.2780  0.0411  0.4675  1 H 1.05
O  0.7258  0.5603  0.4220  1 P 1.55
O  0.0422  0.4440  0.2247  1 H 1.39, 1 P 1.49
O  0.0112  0.1614  0.8144  1 P 1.55
O  0.1486  0.3298  0.4091  1 P 1.51
O  0.2157  0.9503  0.0284  1 H 1.44, 1 P 1.51
O  0.7158  0.9503  0.5284  1 H 1.43, 1 P 1.51
O  0.7422  0.6756  0.9305  1 P 1.55
O  0.6418  0.8297  0.3402  1 P 1.57
O  0.2438  0.3292  0.0646  1 P 1.55
O  0.2641  0.4412  0.5815  1 P 1.56
O  0.6487  0.3298  0.9091  1 P 1.51
O  0.0231  0.0560  0.3297  1 P 1.55
O  0.8590  0.6714  0.5928  1 P 1.52
H  0.4680  0.0104  0.4926  1 O 1.05
H  0.9679  0.0104  0.9926  1 O 1.05
H  0.2814  0.5094  0.2566  1 O 1.07
H  0.7814  0.5094  0.7567  1 O 1.06
Li  0.4729  0.8660  0.9258  5 O 1.97-2.17
Li  0.9728  0.8660  0.4258  5 O 1.97-2.17
V  0.4951  0.4944  0.0021  5 O 1.86-2.00
V  0.2452  0.0059  0.7434  6 O 1.81-2.00
V  0.9951  0.4943  0.5021  5 O 1.86-2.00
V  0.7452  0.0060  0.2433  6 O 1.81-2.00